Entry from the Materials Project database: MnGa2Cu3Se6 after structural relaxation (meta-GGA r2SCAN).

The structure in POSCAR format:
```
MnGa2Cu3Se6
1.0
0.000 11.897 5.609
3.952 0.000 5.609
3.952 11.897 0.000
Mn Ga Cu Se
2 4 6 12
Cartesian
0.000 0.000 0.000
1.976 5.948 2.804
3.993 7.956 5.610
5.889 13.905 8.414
3.912 15.837 5.610
5.969 21.785 8.414
1.994 1.952 2.798
3.970 3.996 5.602
1.959 9.944 2.798
3.952 11.897 5.631
5.929 17.845 8.436
3.935 19.797 5.602
1.947 3.893 1.399
4.002 5.963 4.246
2.005 8.004 1.399
3.944 9.946 4.192
5.879 11.912 7.050
3.961 13.847 4.192
5.937 15.894 6.996
3.903 17.830 4.246
5.920 19.796 6.996
3.982 9.841 9.812
2.026 11.882 7.050
3.923 13.952 9.812
```

Results
Formation energy from the elements, eV per formula unit: -7.04
Space-group type: Fdd2
Magnetization, μB per atom: 0.332